(1)
The following is a DFT calculation (PBE) of a geometry-optimized V17Ge31 structure.

Space-group type ... No. 118
VASP energy ... -6.40 eV per atom
DFT formation energy ... -0.20 eV/atom
Magnetic moment ... 0.40 μB per cell

Cell and atoms, written as CIF:
```
data_V17Ge31
_chemical_formula_sum 'V68 Ge124'
_cell_length_a 5.924
_cell_length_b 5.924
_cell_length_c 84.063
_cell_angle_alpha 90.00
_cell_angle_beta 90.00
_cell_angle_gamma 90.00
_symmetry_space_group_name_H-M 'P 1'
_symmetry_Int_Tables_number 1
loop_
_symmetry_equiv_pos_as_xyz
'x,y,z'
loop_
_atom_site_label
_atom_site_type_symbol
_atom_site_fract_x
_atom_site_fract_y
_atom_site_fract_z
_atom_site_occupancy
V1 V 0.000 0.000 0.000 1
V2 V 0.000 0.000 0.060 1
V3 V 0.000 0.000 0.117 1
V4 V 0.000 0.000 0.177 1
V5 V 0.000 0.000 0.236 1
V6 V 0.000 0.000 0.293 1
V7 V 0.000 0.000 0.354 1
V8 V 0.000 0.000 0.412 1
V9 V 0.000 0.000 0.470 1
V10 V 0.000 0.000 0.530 1
V11 V 0.000 0.000 0.588 1
V12 V 0.000 0.000 0.646 1
V13 V 0.000 0.000 0.707 1
V14 V 0.000 0.000 0.764 1
V15 V 0.000 0.000 0.823 1
V16 V 0.000 0.000 0.883 1
V17 V 0.000 0.000 0.940 1
V18 V 0.000 0.500 0.015 1
V19 V 0.000 0.500 0.074 1
V20 V 0.000 0.500 0.131 1
V21 V 0.000 0.500 0.192 1
V22 V 0.000 0.500 0.250 1
V23 V 0.000 0.500 0.308 1
V24 V 0.000 0.500 0.369 1
V25 V 0.000 0.500 0.426 1
V26 V 0.000 0.500 0.485 1
V27 V 0.000 0.500 0.545 1
V28 V 0.000 0.500 0.602 1
V29 V 0.000 0.500 0.662 1
V30 V 0.000 0.500 0.721 1
V31 V 0.000 0.500 0.779 1
V32 V 0.000 0.500 0.838 1
V33 V 0.000 0.500 0.898 1
V34 V 0.000 0.500 0.955 1
V35 V 0.500 0.000 0.045 1
V36 V 0.500 0.000 0.102 1
V37 V 0.500 0.000 0.162 1
V38 V 0.500 0.000 0.221 1
V39 V 0.500 0.000 0.279 1
V40 V 0.500 0.000 0.338 1
V41 V 0.500 0.000 0.398 1
V42 V 0.500 0.000 0.455 1
V43 V 0.500 0.000 0.515 1
V44 V 0.500 0.000 0.574 1
V45 V 0.500 0.000 0.631 1
V46 V 0.500 0.000 0.692 1
V47 V 0.500 0.000 0.750 1
V48 V 0.500 0.000 0.808 1
V49 V 0.500 0.000 0.869 1
V50 V 0.500 0.000 0.926 1
V51 V 0.500 0.000 0.985 1
V52 V 0.500 0.500 0.030 1
V53 V 0.500 0.500 0.088 1
V54 V 0.500 0.500 0.146 1
V55 V 0.500 0.500 0.207 1
V56 V 0.500 0.500 0.264 1
V57 V 0.500 0.500 0.323 1
V58 V 0.500 0.500 0.383 1
V59 V 0.500 0.500 0.440 1
V60 V 0.500 0.500 0.500 1
V61 V 0.500 0.500 0.560 1
V62 V 0.500 0.500 0.617 1
V63 V 0.500 0.500 0.677 1
V64 V 0.500 0.500 0.736 1
V65 V 0.500 0.500 0.793 1
V66 V 0.500 0.500 0.854 1
V67 V 0.500 0.500 0.912 1
V68 V 0.500 0.500 0.970 1
Ge1 Ge 0.158 0.201 0.620 1
Ge2 Ge 0.158 0.223 0.975 1
Ge3 Ge 0.158 0.246 0.331 1
Ge4 Ge 0.158 0.294 0.041 1
Ge5 Ge 0.158 0.763 0.153 1
Ge6 Ge 0.159 0.272 0.686 1
Ge7 Ge 0.159 0.695 0.218 1
Ge8 Ge 0.159 0.719 0.863 1
Ge9 Ge 0.159 0.741 0.508 1
Ge10 Ge 0.159 0.790 0.798 1
Ge11 Ge 0.160 0.810 0.443 1
Ge12 Ge 0.161 0.314 0.396 1
Ge13 Ge 0.162 0.181 0.266 1
Ge14 Ge 0.165 0.677 0.573 1
Ge15 Ge 0.166 0.827 0.089 1
Ge16 Ge 0.170 0.330 0.750 1
Ge17 Ge 0.173 0.166 0.911 1
Ge18 Ge 0.177 0.665 0.927 1
Ge19 Ge 0.181 0.838 0.734 1
Ge20 Ge 0.186 0.339 0.104 1
Ge21 Ge 0.190 0.160 0.557 1
Ge22 Ge 0.195 0.659 0.282 1
Ge23 Ge 0.201 0.842 0.380 1
Ge24 Ge 0.206 0.342 0.459 1
Ge25 Ge 0.210 0.159 0.202 1
Ge26 Ge 0.219 0.659 0.637 1
Ge27 Ge 0.223 0.842 0.025 1
Ge28 Ge 0.228 0.341 0.814 1
Ge29 Ge 0.237 0.158 0.847 1
Ge30 Ge 0.241 0.659 0.992 1
Ge31 Ge 0.246 0.842 0.669 1
Ge32 Ge 0.254 0.342 0.169 1
Ge33 Ge 0.259 0.159 0.492 1
Ge34 Ge 0.263 0.658 0.347 1
Ge35 Ge 0.272 0.841 0.314 1
Ge36 Ge 0.277 0.342 0.525 1
Ge37 Ge 0.281 0.159 0.137 1
Ge38 Ge 0.290 0.659 0.702 1
Ge39 Ge 0.294 0.842 0.959 1
Ge40 Ge 0.299 0.342 0.880 1
Ge41 Ge 0.305 0.159 0.782 1
Ge42 Ge 0.310 0.660 0.057 1
Ge43 Ge 0.314 0.839 0.604 1
Ge44 Ge 0.319 0.338 0.234 1
Ge45 Ge 0.323 0.165 0.427 1
Ge46 Ge 0.327 0.666 0.411 1
Ge47 Ge 0.330 0.830 0.250 1
Ge48 Ge 0.334 0.327 0.589 1
Ge49 Ge 0.335 0.177 0.073 1
Ge50 Ge 0.338 0.681 0.766 1
Ge51 Ge 0.339 0.814 0.896 1
Ge52 Ge 0.340 0.310 0.943 1
Ge53 Ge 0.341 0.195 0.718 1
Ge54 Ge 0.341 0.219 0.363 1
Ge55 Ge 0.341 0.241 0.008 1
Ge56 Ge 0.341 0.290 0.298 1
Ge57 Ge 0.341 0.772 0.186 1
Ge58 Ge 0.342 0.263 0.653 1
Ge59 Ge 0.342 0.701 0.120 1
Ge60 Ge 0.342 0.723 0.475 1
Ge61 Ge 0.342 0.746 0.831 1
Ge62 Ge 0.342 0.794 0.541 1
Ge63 Ge 0.658 0.206 0.541 1
Ge64 Ge 0.658 0.254 0.831 1
Ge65 Ge 0.658 0.277 0.475 1
Ge66 Ge 0.658 0.299 0.120 1
Ge67 Ge 0.658 0.737 0.653 1
Ge68 Ge 0.659 0.228 0.186 1
Ge69 Ge 0.659 0.710 0.298 1
Ge70 Ge 0.659 0.759 0.008 1
Ge71 Ge 0.659 0.781 0.363 1
Ge72 Ge 0.659 0.805 0.718 1
Ge73 Ge 0.660 0.690 0.943 1
Ge74 Ge 0.661 0.186 0.896 1
Ge75 Ge 0.662 0.319 0.766 1
Ge76 Ge 0.665 0.823 0.073 1
Ge77 Ge 0.666 0.673 0.589 1
Ge78 Ge 0.670 0.170 0.250 1
Ge79 Ge 0.673 0.334 0.411 1
Ge80 Ge 0.677 0.835 0.427 1
Ge81 Ge 0.681 0.662 0.234 1
Ge82 Ge 0.686 0.161 0.604 1
Ge83 Ge 0.690 0.340 0.057 1
Ge84 Ge 0.695 0.841 0.782 1
Ge85 Ge 0.701 0.658 0.880 1
Ge86 Ge 0.706 0.158 0.959 1
Ge87 Ge 0.710 0.341 0.702 1
Ge88 Ge 0.719 0.841 0.137 1
Ge89 Ge 0.723 0.658 0.525 1
Ge90 Ge 0.728 0.159 0.314 1
Ge91 Ge 0.737 0.342 0.347 1
Ge92 Ge 0.741 0.841 0.492 1
Ge93 Ge 0.746 0.658 0.169 1
Ge94 Ge 0.754 0.158 0.669 1
Ge95 Ge 0.759 0.341 0.992 1
Ge96 Ge 0.763 0.842 0.847 1
Ge97 Ge 0.772 0.659 0.814 1
Ge98 Ge 0.777 0.158 0.025 1
Ge99 Ge 0.781 0.341 0.637 1
Ge100 Ge 0.790 0.841 0.202 1
Ge101 Ge 0.794 0.658 0.459 1
Ge102 Ge 0.799 0.158 0.380 1
Ge103 Ge 0.805 0.341 0.282 1
Ge104 Ge 0.810 0.840 0.557 1
Ge105 Ge 0.814 0.661 0.104 1
Ge106 Ge 0.819 0.162 0.734 1
Ge107 Ge 0.823 0.335 0.927 1
Ge108 Ge 0.827 0.834 0.911 1
Ge109 Ge 0.830 0.670 0.750 1
Ge110 Ge 0.834 0.173 0.089 1
Ge111 Ge 0.835 0.323 0.573 1
Ge112 Ge 0.838 0.819 0.266 1
Ge113 Ge 0.839 0.686 0.396 1
Ge114 Ge 0.840 0.190 0.443 1
Ge115 Ge 0.841 0.210 0.798 1
Ge116 Ge 0.841 0.259 0.508 1
Ge117 Ge 0.841 0.281 0.863 1
Ge118 Ge 0.841 0.305 0.218 1
Ge119 Ge 0.841 0.728 0.686 1
Ge120 Ge 0.842 0.237 0.153 1
Ge121 Ge 0.842 0.706 0.041 1
Ge122 Ge 0.842 0.754 0.331 1
Ge123 Ge 0.842 0.777 0.975 1
Ge124 Ge 0.842 0.799 0.620 1
```

(2)
The following is a DFT calculation (PBE) of a geometry-optimized Na5Zn3SnP3S3O24 structure.

Space-group type ... No. 1
VASP energy ... -5.95 eV per atom
DFT formation energy ... -2.22 eV/atom
Magnetic moment ... 0.00 μB per cell

Cell and atoms, written as CIF:
```
data_Na5Zn3SnP3S3O24
_chemical_formula_sum 'Na15 Zn9 Sn3 P9 S9 O72'
_cell_length_a 8.927
_cell_length_b 8.933
_cell_length_c 22.322
_cell_angle_alpha 89.41
_cell_angle_beta 89.57
_cell_angle_gamma 60.03
_symmetry_space_group_name_H-M 'P 1'
_symmetry_Int_Tables_number 1
loop_
_symmetry_equiv_pos_as_xyz
'x,y,z'
loop_
_atom_site_label
_atom_site_type_symbol
_atom_site_fract_x
_atom_site_fract_y
_atom_site_fract_z
_atom_site_occupancy
Na1 Na 0.000 0.000 0.000 1
Na2 Na 0.000 0.273 0.496 1
Na3 Na 0.000 0.634 0.755 1
Na4 Na 0.024 0.629 0.250 1
Na5 Na 0.043 0.300 0.839 1
Na6 Na 0.338 0.596 0.172 1
Na7 Na 0.339 0.334 0.669 1
Na8 Na 0.355 0.957 0.407 1
Na9 Na 0.370 0.956 0.916 1
Na10 Na 0.382 0.623 0.492 1
Na11 Na 0.674 0.297 0.079 1
Na12 Na 0.683 0.298 0.579 1
Na13 Na 0.715 0.970 0.165 1
Na14 Na 0.976 0.967 0.666 1
Na15 Na 0.983 0.328 0.166 1
Zn1 Zn 0.001 0.634 0.908 1
Zn2 Zn 0.006 0.624 0.595 1
Zn3 Zn 0.011 0.629 0.093 1
Zn4 Zn 0.333 0.964 0.269 1
Zn5 Zn 0.346 0.966 0.770 1
Zn6 Zn 0.667 0.296 0.240 1
Zn7 Zn 0.669 0.299 0.430 1
Zn8 Zn 0.674 0.298 0.936 1
Zn9 Zn 0.686 0.303 0.740 1
Sn1 Sn 0.014 0.634 0.399 1
Sn2 Sn 0.344 0.977 0.066 1
Sn3 Sn 0.347 0.966 0.565 1
P1 P 0.008 0.336 0.000 1
P2 P 0.008 0.927 0.504 1
P3 P 0.048 0.262 0.669 1
P4 P 0.050 0.963 0.168 1
P5 P 0.308 0.337 0.503 1
P6 P 0.344 0.259 0.170 1
P7 P 0.381 0.598 0.334 1
P8 P 0.714 0.928 0.001 1
P9 P 0.717 0.633 0.501 1
S1 S 0.309 0.631 0.001 1
S2 S 0.347 0.669 0.668 1
S3 S 0.384 0.300 0.832 1
S4 S 0.636 0.673 0.168 1
S5 S 0.640 0.963 0.669 1
S6 S 0.675 0.596 0.834 1
S7 S 0.678 0.000 0.334 1
S8 S 0.973 0.300 0.335 1
S9 S 0.976 0.996 0.833 1
O1 O 0.028 0.803 0.161 1
O2 O 0.038 0.438 0.662 1
O3 O 0.042 0.411 0.942 1
O4 O 0.051 0.804 0.450 1
O5 O 0.130 0.997 0.108 1
O6 O 0.131 0.143 0.611 1
O7 O 0.148 0.988 0.828 1
O8 O 0.149 0.150 0.332 1
O9 O 0.166 0.173 0.723 1
O10 O 0.173 0.926 0.219 1
O11 O 0.174 0.145 0.003 1
O12 O 0.181 0.420 0.449 1
O13 O 0.181 0.440 0.162 1
O14 O 0.182 0.939 0.506 1
O15 O 0.187 0.658 0.664 1
O16 O 0.194 0.612 0.338 1
O17 O 0.196 0.666 0.949 1
O18 O 0.206 0.455 0.836 1
O19 O 0.233 0.442 0.561 1
O20 O 0.235 0.609 0.058 1
O21 O 0.313 0.171 0.223 1
O22 O 0.316 0.156 0.506 1
O23 O 0.321 0.797 0.006 1
O24 O 0.323 0.783 0.719 1
O25 O 0.359 0.780 0.330 1
O26 O 0.361 0.143 0.830 1
O27 O 0.376 0.743 0.610 1
O28 O 0.388 0.142 0.113 1
O29 O 0.459 0.492 0.277 1
O30 O 0.462 0.319 0.775 1
O31 O 0.481 0.514 0.393 1
O32 O 0.483 0.481 0.995 1
O33 O 0.487 0.317 0.494 1
O34 O 0.492 0.279 0.884 1
O35 O 0.499 0.492 0.672 1
O36 O 0.508 0.280 0.173 1
O37 O 0.520 0.770 0.828 1
O38 O 0.525 0.750 0.113 1
O39 O 0.526 0.979 0.330 1
O40 O 0.529 0.796 0.506 1
O41 O 0.530 0.995 0.613 1
O42 O 0.532 0.940 0.006 1
O43 O 0.555 0.937 0.721 1
O44 O 0.556 0.783 0.220 1
O45 O 0.651 0.124 0.672 1
O46 O 0.652 0.511 0.887 1
O47 O 0.656 0.497 0.172 1
O48 O 0.663 0.101 0.388 1
O49 O 0.694 0.110 0.995 1
O50 O 0.694 0.474 0.494 1
O51 O 0.706 0.490 0.779 1
O52 O 0.710 0.070 0.278 1
O53 O 0.797 0.818 0.946 1
O54 O 0.798 0.667 0.444 1
O55 O 0.811 0.654 0.161 1
O56 O 0.815 0.812 0.663 1
O57 O 0.821 0.851 0.060 1
O58 O 0.826 0.601 0.557 1
O59 O 0.836 0.608 0.838 1
O60 O 0.841 0.820 0.338 1
O61 O 0.852 0.308 0.995 1
O62 O 0.857 0.111 0.495 1
O63 O 0.871 0.132 0.172 1
O64 O 0.871 0.270 0.673 1
O65 O 0.871 0.324 0.280 1
O66 O 0.874 0.075 0.777 1
O67 O 0.891 0.282 0.390 1
O68 O 0.892 0.109 0.886 1
O69 O 0.985 0.465 0.338 1
O70 O 0.987 0.848 0.563 1
O71 O 0.991 0.434 0.058 1
O72 O 0.997 0.822 0.839 1
```

(3)
The following is a DFT calculation (PBE) of a geometry-optimized Sr2Ti2O5 structure.

Space-group type ... No. 46
Offset from the most stable computed form ... 11 kJ/mol of formula units
VASP energy ... -7.76 eV per atom
DFT formation energy ... -3.26 eV/atom
Magnetic moment ... 2.83 μB per cell

Cell and atoms, written as CIF:
```
data_Sr2Ti2O5
_chemical_formula_sum 'Sr4 Ti4 O10'
_cell_length_a 8.875
_cell_length_b 8.875
_cell_length_c 8.875
_cell_angle_alpha 53.64
_cell_angle_beta 142.69
_cell_angle_gamma 142.88
_symmetry_space_group_name_H-M 'P 1'
_symmetry_Int_Tables_number 1
loop_
_symmetry_equiv_pos_as_xyz
'x,y,z'
loop_
_atom_site_label
_atom_site_type_symbol
_atom_site_fract_x
_atom_site_fract_y
_atom_site_fract_z
_atom_site_occupancy
Sr1 Sr 0.012 0.113 0.124 1
Sr2 Sr 0.012 0.387 0.399 1
Sr3 Sr 0.988 0.613 0.601 1
Sr4 Sr 0.988 0.887 0.876 1
Ti1 Ti 0.487 0.776 0.211 1
Ti2 Ti 0.499 0.499 0.000 1
Ti3 Ti 0.499 0.999 0.500 1
Ti4 Ti 0.566 0.276 0.789 1
O1 O 0.001 0.257 0.755 1
O2 O 0.001 0.746 0.244 1
O3 O 0.015 0.587 0.927 1
O4 O 0.472 0.132 0.602 1
O5 O 0.472 0.370 0.840 1
O6 O 0.501 0.246 0.245 1
O7 O 0.501 0.757 0.756 1
O8 O 0.530 0.632 0.160 1
O9 O 0.530 0.870 0.398 1
O10 O 0.660 0.087 0.073 1
```

(4)
The following is a DFT calculation (PBE) of a geometry-optimized CsRuN2 structure.

Offset from the most stable computed form ... 2 kJ/mol of formula units
VASP energy ... -6.57 eV per atom
DFT formation energy ... -0.04 eV/atom
Magnetic moment ... 0.00 μB per cell

Cell and atoms, written as CIF:
```
data_CsRuN2
_chemical_formula_sum 'Cs20 Ru20 N40'
_cell_length_a 13.746
_cell_length_b 13.746
_cell_length_c 8.530
_cell_angle_alpha 90.00
_cell_angle_beta 90.00
_cell_angle_gamma 90.00
_symmetry_space_group_name_H-M 'P 1'
_symmetry_Int_Tables_number 1
loop_
_symmetry_equiv_pos_as_xyz
'x,y,z'
loop_
_atom_site_label
_atom_site_type_symbol
_atom_site_fract_x
_atom_site_fract_y
_atom_site_fract_z
_atom_site_occupancy
N1 N 0.200 0.350 0.111 1
N2 N 0.899 0.451 0.610 1
Ru1 Ru 0.500 0.500 0.235 1
N3 N 0.650 0.200 0.359 1
Ru2 Ru 0.700 0.100 0.234 1
Cs1 Cs 0.302 0.399 0.482 1
N4 N 0.500 0.750 0.610 1
N5 N 0.601 0.549 0.110 1
N6 N 0.399 0.451 0.110 1
Ru3 Ru 0.100 0.800 0.984 1
N7 N 0.049 0.899 0.860 1
Ru4 Ru 0.600 0.800 0.736 1
N8 N 0.800 0.150 0.109 1
Cs2 Cs 0.199 0.601 0.237 1
N9 N 0.601 0.049 0.110 1
Ru5 Ru 0.200 0.600 0.734 1
Ru6 Ru 0.300 0.400 0.986 1
N10 N 0.200 0.850 0.109 1
Cs3 Cs 0.899 0.698 0.732 1
Ru7 Ru 0.800 0.900 0.486 1
N11 N 0.350 0.800 0.359 1
Cs4 Cs 0.801 0.399 0.237 1
N12 N 0.451 0.101 0.860 1
N13 N 0.750 0.500 0.860 1
Cs5 Cs 0.699 0.101 0.737 1
Cs6 Cs 0.500 0.000 0.485 1
Cs7 Cs 0.802 0.899 0.982 1
Ru8 Ru 0.400 0.700 0.484 1
N14 N 0.500 0.250 0.610 1
Ru9 Ru 0.900 0.700 0.236 1
Ru10 Ru 0.000 0.000 0.735 1
Cs8 Cs 0.101 0.801 0.487 1
N15 N 0.350 0.300 0.861 1
Cs9 Cs 0.601 0.802 0.232 1
Ru11 Ru 0.600 0.300 0.484 1
Cs10 Cs 0.101 0.302 0.732 1
Cs11 Cs 0.198 0.101 0.982 1
Cs12 Cs 0.000 0.500 0.985 1
Cs13 Cs 0.399 0.198 0.232 1
N16 N 0.150 0.700 0.859 1
N17 N 0.750 0.000 0.360 1
N18 N 0.101 0.049 0.610 1
N19 N 0.451 0.601 0.360 1
Ru12 Ru 0.000 0.500 0.485 1
Cs14 Cs 0.601 0.301 0.987 1
N20 N 0.000 0.750 0.110 1
Ru13 Ru 0.700 0.600 0.986 1
N21 N 0.049 0.399 0.360 1
Cs15 Cs 0.000 0.000 0.235 1
Cs16 Cs 0.500 0.500 0.735 1
N22 N 0.951 0.101 0.860 1
N23 N 0.700 0.850 0.611 1
N24 N 0.850 0.300 0.859 1
N25 N 0.951 0.601 0.360 1
N26 N 0.549 0.399 0.360 1
N27 N 0.899 0.951 0.610 1
N28 N 0.101 0.549 0.610 1
N29 N 0.800 0.650 0.111 1
N30 N 0.399 0.951 0.110 1
Cs17 Cs 0.899 0.199 0.487 1
Cs18 Cs 0.301 0.899 0.737 1
Ru14 Ru 0.200 0.100 0.486 1
Cs19 Cs 0.399 0.699 0.987 1
Cs20 Cs 0.698 0.601 0.482 1
N31 N 0.549 0.899 0.860 1
Ru15 Ru 0.500 0.000 0.985 1
Ru16 Ru 0.100 0.300 0.236 1
N32 N 0.650 0.700 0.861 1
N33 N 0.250 0.500 0.860 1
N34 N 0.000 0.250 0.110 1
Ru17 Ru 0.400 0.200 0.736 1
N35 N 0.150 0.200 0.361 1
N36 N 0.250 0.000 0.360 1
Ru18 Ru 0.800 0.400 0.734 1
N37 N 0.300 0.650 0.609 1
N38 N 0.700 0.350 0.609 1
N39 N 0.850 0.800 0.361 1
Ru19 Ru 0.300 0.900 0.234 1
N40 N 0.300 0.150 0.611 1
Ru20 Ru 0.900 0.200 0.984 1
```